(1)
# DyGa5Co (GGA-PBE, optimized geometry)
data_DyGa5Co
_cell_length_a 4.230
_cell_length_b 4.230
_cell_length_c 6.790
_cell_angle_alpha 90.00
_cell_angle_beta 90.00
_cell_angle_gamma 90.00
_space_group_name_H-M_alt 'P 1'
_space_group_IT_number 1
_space_group_name_Hall 'P 1'
loop_
_atom_site_label
_atom_site_type_symbol
_atom_site_fract_x
_atom_site_fract_y
_atom_site_fract_z
Ga1 Ga 0.500 0.500 0.000
Dy1 Dy 0.000 0.000 0.000
Ga2 Ga 0.500 0.000 0.310
Ga3 Ga 0.000 0.500 0.690
Ga4 Ga 0.500 0.000 0.690
Co1 Co 0.000 0.000 0.500
Ga5 Ga 0.000 0.500 0.310
# uncorrected energy = -30.16 eV for the cell shown
# crystal system = tetragonal

---

(2)
# GdCuPb (GGA-PBE, optimized geometry)
data_GdCuPb
_cell_length_a 4.651
_cell_length_b 4.651
_cell_length_c 7.498
_cell_angle_alpha 90.00
_cell_angle_beta 90.00
_cell_angle_gamma 120.00
_space_group_name_H-M_alt 'P 1'
_space_group_IT_number 1
_space_group_name_Hall 'P 1'
loop_
_atom_site_label
_atom_site_type_symbol
_atom_site_fract_x
_atom_site_fract_y
_atom_site_fract_z
Gd1 Gd 0.000 0.000 0.000
Gd2 Gd 0.000 0.000 0.500
Pb1 Pb 0.333 0.667 0.250
Cu1 Cu 0.333 0.667 0.750
Pb2 Pb 0.667 0.333 0.750
Cu2 Cu 0.667 0.333 0.250
# uncorrected energy = -45.91 eV for the cell shown
# crystal system = hexagonal

---

(3)
# KMgC2O10 (GGA-PBE, optimized geometry)
data_KMgC2O10
_cell_length_a 5.074
_cell_length_b 6.815
_cell_length_c 7.180
_cell_angle_alpha 74.17
_cell_angle_beta 78.77
_cell_angle_gamma 79.52
_space_group_name_H-M_alt 'P 1'
_space_group_IT_number 1
_space_group_name_Hall 'P 1'
loop_
_atom_site_label
_atom_site_type_symbol
_atom_site_fract_x
_atom_site_fract_y
_atom_site_fract_z
C1 C 0.379 0.219 0.292
O1 O 0.763 0.909 0.727
Mg1 Mg 0.500 0.500 0.500
C2 C 0.621 0.781 0.708
O2 O 0.196 0.439 0.802
O3 O 0.590 0.694 0.205
O4 O 0.237 0.091 0.273
O5 O 0.410 0.306 0.795
O6 O 0.608 0.231 0.180
O7 O 0.392 0.769 0.820
O8 O 0.804 0.561 0.198
O9 O 0.297 0.330 0.417
K1 K 0.000 0.000 0.000
O10 O 0.703 0.670 0.583
# ΔE to the lowest computed polymorph = 0.0 kJ/mol of atoms
# crystal system = triclinic
# MP2020-corrected energy = -6.153 eV per atom

---

(4)
# MoS3 (GGA-PBE, optimized geometry)
data_MoS3
_cell_length_a 3.087
_cell_length_b 3.404
_cell_length_c 8.184
_cell_angle_alpha 85.12
_cell_angle_beta 90.00
_cell_angle_gamma 90.00
_space_group_name_H-M_alt 'P 1'
_space_group_IT_number 1
_space_group_name_Hall 'P 1'
loop_
_atom_site_label
_atom_site_type_symbol
_atom_site_fract_x
_atom_site_fract_y
_atom_site_fract_z
S1 S 0.000 0.372 0.650
S2 S 0.000 0.623 0.138
Mo1 Mo 0.500 0.107 0.245
S3 S 0.500 0.059 0.515
# crystal system = monoclinic
# MP2020-corrected energy = -6.113 eV per atom

---

(5)
# Ba4Cd11Ge12 (GGA-PBE, optimized geometry)
data_Ba4Cd11Ge12
_cell_length_a 11.559
_cell_length_b 11.559
_cell_length_c 11.559
_cell_angle_alpha 90.00
_cell_angle_beta 90.00
_cell_angle_gamma 90.00
_space_group_name_H-M_alt 'P 1'
_space_group_IT_number 1
_space_group_name_Hall 'P 1'
loop_
_atom_site_label
_atom_site_type_symbol
_atom_site_fract_x
_atom_site_fract_y
_atom_site_fract_z
Cd1 Cd 0.679 0.321 0.321
Ba1 Ba 0.250 0.000 0.500
Ge1 Ge 0.895 0.683 0.000
Ge2 Ge 0.183 0.395 0.500
Cd2 Cd 0.500 0.000 0.750
Ge3 Ge 0.000 0.895 0.683
Ge4 Ge 0.683 0.000 0.105
Cd3 Cd 0.321 0.321 0.679
Ge5 Ge 0.183 0.605 0.500
Ba2 Ba 0.000 0.000 0.000
Ge6 Ge 0.395 0.500 0.183
Cd4 Cd 0.821 0.179 0.821
Cd5 Cd 0.821 0.821 0.179
Cd6 Cd 0.679 0.679 0.321
Ge7 Ge 0.317 0.000 0.105
Ge8 Ge 0.683 0.000 0.895
Ba3 Ba 0.500 0.250 0.000
Cd7 Cd 0.500 0.000 0.250
Cd8 Cd 0.000 0.250 0.500
Ge9 Ge 0.000 0.895 0.317
Cd9 Cd 0.679 0.321 0.679
Ba4 Ba 0.500 0.750 0.000
Ba5 Ba 0.000 0.500 0.750
Cd10 Cd 0.179 0.179 0.821
Ge10 Ge 0.000 0.105 0.317
Ba6 Ba 0.750 0.000 0.500
Cd11 Cd 0.179 0.821 0.179
Ge11 Ge 0.500 0.183 0.605
Ge12 Ge 0.817 0.605 0.500
Ge13 Ge 0.500 0.183 0.395
Ge14 Ge 0.605 0.500 0.183
Cd12 Cd 0.179 0.821 0.821
Ge15 Ge 0.105 0.683 0.000
Cd13 Cd 0.821 0.821 0.821
Ge16 Ge 0.817 0.395 0.500
Ge17 Ge 0.500 0.817 0.395
Ge18 Ge 0.395 0.500 0.817
Cd14 Cd 0.821 0.179 0.179
Ge19 Ge 0.000 0.105 0.683
Ge20 Ge 0.895 0.317 0.000
Ge21 Ge 0.105 0.317 0.000
Ba7 Ba 0.000 0.500 0.250
Ge22 Ge 0.500 0.817 0.605
Cd15 Cd 0.321 0.679 0.679
Ge23 Ge 0.317 0.000 0.895
Cd16 Cd 0.000 0.750 0.500
Cd17 Cd 0.679 0.679 0.679
Cd18 Cd 0.321 0.321 0.321
Cd19 Cd 0.750 0.500 0.000
Cd20 Cd 0.250 0.500 0.000
Cd21 Cd 0.179 0.179 0.179
Ba8 Ba 0.500 0.500 0.500
Ge24 Ge 0.605 0.500 0.817
Cd22 Cd 0.321 0.679 0.321
# uncorrected energy = -151.24 eV for the cell shown
# crystal system = cubic

---

(6)
# AlI3N5 (GGA-PBE, optimized geometry)
data_AlI3N5
_cell_length_a 6.828
_cell_length_b 6.828
_cell_length_c 8.448
_cell_angle_alpha 90.00
_cell_angle_beta 90.00
_cell_angle_gamma 117.82
_space_group_name_H-M_alt 'P 1'
_space_group_IT_number 1
_space_group_name_Hall 'P 1'
loop_
_atom_site_label
_atom_site_type_symbol
_atom_site_fract_x
_atom_site_fract_y
_atom_site_fract_z
I1 I 0.756 0.244 0.250
N1 N 0.901 0.099 0.565
I2 I 0.771 0.771 0.500
N2 N 0.901 0.099 0.935
N3 N 0.644 0.356 0.750
I3 I 0.229 0.229 0.000
N4 N 0.099 0.901 0.065
N5 N 0.563 0.868 0.750
N6 N 0.132 0.437 0.750
Al1 Al 0.192 0.808 0.250
I4 I 0.229 0.229 0.500
N7 N 0.868 0.563 0.250
Al2 Al 0.808 0.192 0.750
I5 I 0.244 0.756 0.750
N8 N 0.437 0.132 0.250
I6 I 0.771 0.771 0.000
N9 N 0.099 0.901 0.435
N10 N 0.356 0.644 0.250
# ΔE to the lowest computed polymorph = 0.0 kJ/mol of atoms
# crystal system = orthorhombic
# MP2020-corrected energy = -4.378 eV per atom